Material: Na3CaSc3ZnSi8O24
Method: DFT, PBE
State: relaxed

Cell lengths 5.568, 18.741, 10.262 Å; angles 90.00, 93.30, 90.00 degrees
Space group P2/c (No. 13)
One atom of each set of equivalent atoms:
Na: 0.000 0.018 0.250 [2 per cell]
Na: 0.500 0.238 0.250 [2 per cell]
Na: 0.500 0.265 0.750 [2 per cell]
Ca: 0.000 0.488 0.750 [2 per cell]
Sc: 0.000 0.173 0.750 [2 per cell]
Sc: 0.000 0.325 0.250 [2 per cell]
Sc: 0.500 0.075 0.750 [2 per cell]
Zn: 0.500 0.428 0.250 [2 per cell]
Si: 0.215 0.139 0.986 [4 per cell]
Si: 0.222 0.366 0.484 [4 per cell]
Si: 0.278 0.392 0.021 [4 per cell]
Si: 0.285 0.111 0.514 [4 per cell]
O: 0.018 0.386 0.925 [4 per cell]
O: 0.025 0.120 0.425 [4 per cell]
O: 0.184 0.215 0.911 [4 per cell]
O: 0.193 0.083 0.859 [4 per cell]
O: 0.193 0.420 0.357 [4 per cell]
O: 0.195 0.288 0.414 [4 per cell]
O: 0.293 0.332 0.136 [4 per cell]
O: 0.293 0.468 0.097 [4 per cell]
O: 0.309 0.165 0.641 [4 per cell]
O: 0.315 0.034 0.588 [4 per cell]
O: 0.476 0.130 0.075 [4 per cell]
O: 0.483 0.377 0.571 [4 per cell]

## Properties
ΔH_f (0 K)   -3.0391 eV/atom
DFT total energy   -7.336 eV per atom
ΔE to the lowest computed polymorph   208 meV per atom